24
Lattice="4.5438 0.0000 0.0000 0.0000 9.3848 0.0000 0.0000 0.0000 18.2118" Properties=species:S:1:pos:R:3 comment="GGA-PBE Rb2AgCl3, relaxed" mass_density_g_cm3=3.29 sg="Pnma, No. 62" formation_energy_mev_per_atom=-1766 energy_ev_per_cell=-76.383 pbc="T T T"
Cl 1.1359 7.6670 4.9625
Cl 1.1359 2.9746 4.1434
Cl 1.1359 9.3343 16.4185
Cl 3.4078 8.2253 10.4320
Cl 1.1359 4.6419 10.8992
Cl 1.1359 5.8519 1.3260
Cl 3.4078 3.5329 16.8858
Cl 1.1359 1.1595 7.7799
Cl 3.4078 0.0505 1.7933
Cl 3.4078 4.7429 7.3126
Cl 3.4078 1.7178 13.2493
Cl 3.4078 6.4102 14.0685
Ag 1.1359 3.5402 6.7117
Ag 1.1359 8.2325 2.3943
Ag 3.4078 5.8446 11.5002
Ag 3.4078 1.1522 15.8176
Rb 1.1359 3.9562 14.3237
Rb 3.4078 6.9395 17.4247
Rb 1.1359 2.4453 0.7871
Rb 3.4078 2.2471 9.8930
Rb 1.1359 7.1377 8.3188
Rb 1.1359 8.6486 12.9941
Rb 3.4078 0.7362 5.2178
Rb 3.4078 5.4285 3.8882